{
  "formula": "Al13Co4",
  "functional": "PBE",
  "state": "optimized geometry",
  "lattice_angstrom": [[8.202, 0.000, 0.000], [0.000, 12.388, 0.000], [0.000, 0.000, 14.444]],
  "species": ["Al", "Al", "Al", "Al", "Al", "Al", "Al", "Al", "Al", "Al", "Al", "Al", "Al", "Al", "Al", "Al", "Al", "Al", "Al", "Al", "Al", "Al", "Al", "Al", "Al", "Al", "Al", "Al", "Al", "Al", "Al", "Al", "Al", "Al", "Al", "Al", "Al", "Al", "Al", "Al", "Al", "Al", "Al", "Al", "Al", "Al", "Al", "Al", "Al", "Al", "Al", "Al", "Al", "Al", "Al", "Al", "Al", "Al", "Al", "Al", "Al", "Al", "Al", "Al", "Al", "Al", "Al", "Al", "Al", "Al", "Al", "Al", "Al", "Al", "Al", "Al", "Al", "Al", "Co", "Co", "Co", "Co", "Co", "Co", "Co", "Co", "Co", "Co", "Co", "Co", "Co", "Co", "Co", "Co", "Co", "Co", "Co", "Co", "Co", "Co", "Co", "Co"],
  "frac_coords": [[0.000, 0.851, 0.565], [0.210, 0.341, 0.132], [0.500, 0.840, 0.525], [0.778, 0.955, 0.684], [0.720, 0.766, 0.179], [0.500, 0.255, 0.096], [0.222, 0.955, 0.684], [0.000, 0.340, 0.975], [0.000, 0.848, 0.829], [0.500, 0.614, 0.756], [0.000, 0.656, 0.210], [0.751, 0.500, 0.000], [0.790, 0.341, 0.132], [0.500, 0.054, 0.078], [0.710, 0.159, 0.632], [0.500, 0.351, 0.935], [0.000, 0.660, 0.025], [0.000, 0.152, 0.171], [0.251, 0.000, 0.500], [0.279, 0.529, 0.634], [0.720, 0.234, 0.821], [0.220, 0.734, 0.679], [0.500, 0.348, 0.671], [0.500, 0.649, 0.065], [0.721, 0.529, 0.634], [0.000, 0.245, 0.596], [0.500, 0.946, 0.922], [0.710, 0.841, 0.368], [0.779, 0.029, 0.866], [0.500, 0.160, 0.475], [0.000, 0.886, 0.256], [0.790, 0.659, 0.868], [0.232, 0.829, 0.992], [0.000, 0.000, 0.000], [0.732, 0.671, 0.492], [0.232, 0.171, 0.008], [0.000, 0.149, 0.435], [0.500, 0.156, 0.290], [0.221, 0.029, 0.866], [0.268, 0.671, 0.492], [0.721, 0.471, 0.366], [0.768, 0.171, 0.008], [0.249, 0.500, 0.000], [0.222, 0.045, 0.316], [0.278, 0.455, 0.816], [0.000, 0.429, 0.261], [0.500, 0.386, 0.244], [0.778, 0.045, 0.316], [0.000, 0.571, 0.739], [0.500, 0.844, 0.710], [0.280, 0.234, 0.821], [0.749, 0.000, 0.500], [0.000, 0.344, 0.790], [0.732, 0.329, 0.508], [0.280, 0.766, 0.179], [0.210, 0.659, 0.868], [0.278, 0.545, 0.184], [0.000, 0.554, 0.422], [0.221, 0.971, 0.134], [0.500, 0.929, 0.239], [0.722, 0.545, 0.184], [0.279, 0.471, 0.366], [0.000, 0.446, 0.578], [0.780, 0.734, 0.679], [0.268, 0.329, 0.508], [0.290, 0.159, 0.632], [0.779, 0.971, 0.134], [0.000, 0.114, 0.744], [0.768, 0.829, 0.992], [0.500, 0.071, 0.761], [0.722, 0.455, 0.816], [0.500, 0.745, 0.904], [0.500, 0.652, 0.329], [0.290, 0.841, 0.368], [0.500, 0.500, 0.500], [0.220, 0.266, 0.321], [0.780, 0.266, 0.321], [0.000, 0.755, 0.404], [0.223, 0.657, 0.323], [0.500, 0.854, 0.084], [0.277, 0.843, 0.823], [0.277, 0.157, 0.177], [0.000, 0.646, 0.584], [0.000, 0.837, 0.101], [0.500, 0.663, 0.601], [0.000, 0.519, 0.898], [0.777, 0.657, 0.323], [0.777, 0.343, 0.677], [0.723, 0.843, 0.823], [0.500, 0.451, 0.091], [0.500, 0.019, 0.602], [0.500, 0.981, 0.398], [0.723, 0.157, 0.177], [0.500, 0.146, 0.916], [0.000, 0.951, 0.409], [0.500, 0.549, 0.909], [0.000, 0.481, 0.102], [0.500, 0.337, 0.399], [0.223, 0.343, 0.677], [0.000, 0.049, 0.591], [0.000, 0.163, 0.899], [0.000, 0.354, 0.416]],
  "magnetic_moment_mub_per_cell": 0.02,
  "space_group": "Pnnm"
}

***

{
  "formula": "Al9Co2",
  "functional": "PBE",
  "state": "optimized geometry",
  "lattice_angstrom": [[-3.072, -2.358, -4.942], [4.415, -4.296, -0.695], [-3.774, -5.754, 5.092]],
  "species": ["Al", "Al", "Al", "Al", "Al", "Al", "Al", "Al", "Al", "Al", "Al", "Al", "Al", "Al", "Al", "Al", "Al", "Al", "Co", "Co", "Co", "Co"],
  "frac_coords": [[0.692, 0.610, 0.498], [0.466, 0.594, 0.767], [0.290, 0.088, 0.771], [0.308, 0.390, 0.502], [0.534, 0.406, 0.233], [0.886, 0.216, 0.456], [0.614, 0.216, 0.956], [0.500, 0.000, 0.500], [0.000, 0.000, 0.000], [0.966, 0.406, 0.733], [0.192, 0.390, 0.002], [0.790, 0.912, 0.729], [0.808, 0.610, 0.998], [0.710, 0.912, 0.229], [0.034, 0.594, 0.267], [0.210, 0.088, 0.271], [0.114, 0.784, 0.544], [0.386, 0.784, 0.044], [0.382, 0.736, 0.334], [0.118, 0.736, 0.834], [0.618, 0.264, 0.666], [0.882, 0.264, 0.166]],
  "space_group": "P2_1/c"
}

***

{
  "formula": "Al3Co",
  "functional": "PBE",
  "state": "optimized geometry",
  "lattice_angstrom": [[-0.291, -2.674, -3.077], [1.598, -5.619, 4.734], [-8.386, 0.586, -2.432]],
  "species": ["Al", "Al", "Al", "Al", "Al", "Al", "Al", "Al", "Al", "Al", "Al", "Al", "Co", "Co", "Co", "Co"],
  "frac_coords": [[0.579, 0.244, 0.842], [0.981, 0.519, 0.037], [0.791, 0.903, 0.419], [0.192, 0.105, 0.617], [0.407, 0.790, 0.185], [0.756, 0.589, 0.488], [0.499, 0.003, 0.002], [0.126, 0.837, 0.748], [0.403, 0.399, 0.195], [0.238, 0.399, 0.524], [0.868, 0.157, 0.264], [0.587, 0.603, 0.827], [0.713, 0.277, 0.574], [0.281, 0.724, 0.438], [0.007, 0.184, 0.985], [0.986, 0.824, 0.027]],
  "magnetic_moment_mub_per_cell": 0.00,
  "space_group": "Cm"
}

***

For each record above, in turn, the calculated calculated formation energy values are -6.59 -3.65 -1.62 eV/f.u..